(a)
{"formula": "RbDyI3", "functional": "PBE", "state": "relaxed", "lattice": [[2.2384, -7.9758, 0.0000], [2.2384, 7.9758, 0.0000], [0.0000, 0.0000, 11.7573]], "species": ["Rb", "Rb", "Dy", "Dy", "I", "I", "I", "I", "I", "I"], "frac_coords": [[0.2463, 0.7537, 0.7500], [0.7537, 0.2463, 0.2500], [0.0000, 0.0000, 0.0000], [0.0000, 0.0000, 0.5000], [0.0662, 0.9338, 0.2500], [0.3695, 0.6305, 0.0495], [0.3695, 0.6305, 0.4505], [0.6305, 0.3695, 0.5495], [0.6305, 0.3695, 0.9505], [0.9338, 0.0662, 0.7500]], "rho_g_cm3": 4.97}

=====

(b)
{"formula": "RbDyI3", "functional": "PBE", "state": "relaxed", "lattice": [[8.7266, 0.0000, 0.0000], [0.0000, 11.9821, 0.0000], [0.0000, 0.0000, 8.2296]], "species": ["Rb", "Rb", "Rb", "Rb", "Dy", "Dy", "Dy", "Dy", "I", "I", "I", "I", "I", "I", "I", "I", "I", "I", "I", "I"], "frac_coords": [[0.0738, 0.2500, 0.0280], [0.4262, 0.7500, 0.5280], [0.5738, 0.2500, 0.4720], [0.9262, 0.7500, 0.9720], [0.0000, 0.0000, 0.5000], [0.0000, 0.5000, 0.5000], [0.5000, 0.0000, 0.0000], [0.5000, 0.5000, 0.0000], [0.0153, 0.7500, 0.4134], [0.2072, 0.5418, 0.7984], [0.2072, 0.9582, 0.7984], [0.2928, 0.0418, 0.2984], [0.2928, 0.4582, 0.2984], [0.4847, 0.2500, 0.9134], [0.5153, 0.7500, 0.0866], [0.7072, 0.5418, 0.7016], [0.7072, 0.9582, 0.7016], [0.7928, 0.0418, 0.2016], [0.7928, 0.4582, 0.2016], [0.9847, 0.2500, 0.5866]], "rho_g_cm3": 4.85}

=====

Least stable = (b)

=====

(a)
{"formula": "Dy5Ir3", "functional": "PBE", "state": "relaxed", "lattice": [[8.3301, 0.0000, 0.0000], [-4.1650, 7.2141, 0.0000], [0.0000, 0.0000, 6.2314]], "species": ["Dy", "Dy", "Dy", "Dy", "Dy", "Dy", "Dy", "Dy", "Dy", "Dy", "Ir", "Ir", "Ir", "Ir", "Ir", "Ir"], "frac_coords": [[0.0000, 0.2591, 0.2500], [0.0000, 0.7409, 0.7500], [0.2591, 0.0000, 0.2500], [0.2591, 0.2591, 0.7500], [0.3333, 0.6667, 0.0000], [0.3333, 0.6667, 0.5000], [0.6667, 0.3333, 0.0000], [0.6667, 0.3333, 0.5000], [0.7409, 0.0000, 0.7500], [0.7409, 0.7409, 0.2500], [0.0000, 0.3905, 0.7500], [0.0000, 0.6095, 0.2500], [0.3905, 0.0000, 0.7500], [0.3905, 0.3905, 0.2500], [0.6095, 0.0000, 0.2500], [0.6095, 0.6095, 0.7500]], "rho_g_cm3": 12.32}

=====

(b)
{"formula": "Dy5Ir3", "functional": "PBE", "state": "relaxed", "lattice": [[10.9045, 0.0000, 0.0000], [0.0000, 10.9045, 0.0000], [0.0000, 0.0000, 6.3479]], "species": ["Dy", "Dy", "Dy", "Dy", "Dy", "Dy", "Dy", "Dy", "Dy", "Dy", "Dy", "Dy", "Dy", "Dy", "Dy", "Dy", "Dy", "Dy", "Dy", "Dy", "Ir", "Ir", "Ir", "Ir", "Ir", "Ir", "Ir", "Ir", "Ir", "Ir", "Ir", "Ir"], "frac_coords": [[0.0414, 0.1615, 0.1218], [0.0414, 0.3385, 0.6218], [0.1615, 0.0414, 0.6218], [0.1615, 0.4586, 0.1218], [0.2500, 0.7500, 0.0000], [0.2500, 0.7500, 0.5000], [0.3385, 0.0414, 0.1218], [0.3385, 0.4586, 0.6218], [0.4586, 0.1615, 0.6218], [0.4586, 0.3385, 0.1218], [0.5414, 0.6615, 0.8782], [0.5414, 0.8385, 0.3782], [0.6615, 0.5414, 0.3782], [0.6615, 0.9586, 0.8782], [0.7500, 0.2500, 0.0000], [0.7500, 0.2500, 0.5000], [0.8385, 0.5414, 0.8782], [0.8385, 0.9586, 0.3782], [0.9586, 0.6615, 0.3782], [0.9586, 0.8385, 0.8782], [0.0966, 0.5966, 0.7500], [0.0966, 0.9034, 0.2500], [0.2500, 0.2500, 0.3765], [0.2500, 0.2500, 0.8765], [0.4034, 0.5966, 0.2500], [0.4034, 0.9034, 0.7500], [0.5966, 0.0966, 0.2500], [0.5966, 0.4034, 0.7500], [0.7500, 0.7500, 0.1235], [0.7500, 0.7500, 0.6235], [0.9034, 0.0966, 0.7500], [0.9034, 0.4034, 0.2500]], "rho_g_cm3": 12.22}

=====

Least stable = (a)